No. 1
Computed, not measured: a geometry-optimized B5H4 structure at the PBE-GGA level of DFT.

Summary:
The formation energy from the elements comes out at 0.173 eV/atom. The symmetry is I4_1/acd, No. 142.

a b c (Å): 18.3368 18.3368 18.3368
angles (deg): 136.79 136.79 62.76
Fractional coordinates of all 144 atoms:
1 B 0.0060 0.9822 0.4396
2 B 0.0184 0.1700 0.1028
3 B 0.0178 0.9573 0.0238
4 B 0.0255 0.8922 0.0560
5 B 0.0305 0.9745 0.3667
6 B 0.0379 0.4023 0.4417
7 B 0.0394 0.0977 0.1356
8 B 0.0390 0.3501 0.9765
9 B 0.0427 0.5664 0.0604
10 B 0.0626 0.0390 0.1890
11 B 0.0664 0.5427 0.5604
12 B 0.0673 0.6700 0.6516
13 B 0.0843 0.9816 0.6516
14 B 0.0962 0.9606 0.5583
15 B 0.0977 0.4621 0.0583
16 B 0.1078 0.6638 0.1333
17 B 0.1264 0.9374 0.4765
18 B 0.1499 0.4610 0.5235
19 B 0.1638 0.6078 0.6333
20 B 0.1700 0.5673 0.1516
21 B 0.3300 0.4816 0.3972
22 B 0.3362 0.9695 0.4440
23 B 0.3501 0.8736 0.3110
24 B 0.3736 0.8501 0.8110
25 B 0.3922 0.5255 0.5560
26 B 0.4023 0.4606 0.3644
27 B 0.4038 0.9621 0.8644
28 B 0.4157 0.0673 0.8972
29 B 0.4327 0.0843 0.6028
30 B 0.4336 0.9940 0.4762
31 B 0.4374 0.6264 0.9765
32 B 0.4573 0.5178 0.5238
33 B 0.4610 0.4374 0.3110
34 B 0.4606 0.5962 0.0583
35 B 0.4621 0.9038 0.3644
36 B 0.4695 0.8362 0.9440
37 B 0.4745 0.5305 0.8667
38 B 0.4822 0.5060 0.9396
39 B 0.4816 0.5843 0.1516
40 B 0.4940 0.9336 0.9762
41 B 0.5060 0.0664 0.0238
42 B 0.5184 0.4157 0.8484
43 B 0.5178 0.4940 0.0604
44 B 0.5255 0.4695 0.1333
45 B 0.5305 0.1638 0.0560
46 B 0.5379 0.0962 0.6356
47 B 0.5394 0.4038 0.9417
48 B 0.5390 0.5626 0.6890
49 B 0.5427 0.4822 0.4762
50 B 0.5626 0.3736 0.0235
51 B 0.5664 0.0060 0.5238
52 B 0.5673 0.9157 0.3972
53 B 0.5843 0.9327 0.1028
54 B 0.5962 0.0379 0.1356
55 B 0.5977 0.5394 0.6356
56 B 0.6078 0.4745 0.4440
57 B 0.6264 0.1499 0.1890
58 B 0.6499 0.1264 0.6890
59 B 0.6638 0.0305 0.5560
60 B 0.6700 0.5184 0.6028
61 B 0.8300 0.4327 0.8484
62 B 0.8362 0.3922 0.3667
63 B 0.8501 0.5390 0.4765
64 B 0.8736 0.0626 0.5235
65 B 0.8922 0.3362 0.8667
66 B 0.9023 0.5379 0.9417
67 B 0.9038 0.0394 0.4417
68 B 0.9157 0.0184 0.3484
69 B 0.9327 0.3300 0.3484
70 B 0.9336 0.4573 0.4396
71 B 0.9374 0.9610 0.8110
72 B 0.9573 0.4336 0.9396
73 B 0.9610 0.6499 0.0235
74 B 0.9606 0.9023 0.8644
75 B 0.9621 0.5977 0.5583
76 B 0.9695 0.0255 0.6333
77 B 0.9745 0.1078 0.9440
78 B 0.9822 0.0427 0.9762
79 B 0.9816 0.8300 0.8972
80 B 0.9940 0.0178 0.5604
81 H 0.0065 0.9311 0.8015
82 H 0.0284 0.8435 0.0774
83 H 0.0336 0.2658 0.1838
84 H 0.0490 0.9716 0.3151
85 H 0.0572 0.2670 0.9015
86 H 0.0689 0.3703 0.0753
87 H 0.0821 0.7658 0.7322
88 H 0.1297 0.4311 0.4247
89 H 0.1345 0.8443 0.4015
90 H 0.1501 0.9664 0.7322
91 H 0.1557 0.0572 0.2902
92 H 0.1565 0.7339 0.1849
93 H 0.2050 0.0065 0.5753
94 H 0.2330 0.4428 0.5985
95 H 0.2342 0.4664 0.3162
96 H 0.2339 0.6565 0.6849
97 H 0.2658 0.5821 0.2322
98 H 0.2661 0.9510 0.4226
99 H 0.2670 0.8655 0.2098
100 H 0.2950 0.8703 0.8015
101 H 0.3435 0.5284 0.5774
102 H 0.3443 0.6345 0.9015
103 H 0.3499 0.0821 0.8162
104 H 0.3655 0.7670 0.7098
105 H 0.3703 0.7950 0.3015
106 H 0.4179 0.1501 0.6838
107 H 0.4311 0.5065 0.3015
108 H 0.4428 0.3443 0.2098
109 H 0.4510 0.7661 0.9226
110 H 0.4664 0.6501 0.2322
111 H 0.4716 0.5490 0.8151
112 H 0.4935 0.2950 0.9247
113 H 0.5065 0.7050 0.0753
114 H 0.5284 0.4510 0.1849
115 H 0.5336 0.3499 0.7678
116 H 0.5490 0.2339 0.0774
117 H 0.5572 0.6557 0.7902
118 H 0.5689 0.4935 0.6985
119 H 0.5821 0.8499 0.3162
120 H 0.6297 0.2050 0.6985
121 H 0.6345 0.2330 0.2902
122 H 0.6501 0.9179 0.1838
123 H 0.6557 0.3655 0.0985
124 H 0.6565 0.4716 0.4226
125 H 0.7050 0.1297 0.1985
126 H 0.7330 0.1345 0.7902
127 H 0.7339 0.0490 0.5774
128 H 0.7342 0.4179 0.7678
129 H 0.7661 0.3435 0.3151
130 H 0.7658 0.5336 0.6838
131 H 0.7670 0.5572 0.4015
132 H 0.7950 0.9935 0.4247
133 H 0.8435 0.2661 0.8151
134 H 0.8443 0.9428 0.7098
135 H 0.8499 0.0336 0.2678
136 H 0.8655 0.1557 0.5985
137 H 0.8703 0.5689 0.5753
138 H 0.9179 0.2342 0.2678
139 H 0.9311 0.6297 0.9247
140 H 0.9428 0.7330 0.0985
141 H 0.9510 0.0284 0.6849
142 H 0.9664 0.7342 0.8162
143 H 0.9716 0.1565 0.9226
144 H 0.9935 0.0689 0.1985


No. 2
Computed, not measured: a geometry-optimized B3H5 structure at the PBE-GGA level of DFT.

Summary:
The value obtained for the polymorph energy (0 for the lowest one) is 0.000 eV per atom. The formation energy from the elements comes out at -0.173 eV/atom. The symmetry is P2_1/c, No. 14.

a b c (Å): 11.4663 7.1260 13.6502
angles (deg): 90.00 124.42 90.00
Fractional coordinates of all 96 atoms:
1 B 0.0099 0.2323 0.1299
2 B 0.0099 0.2677 0.6299
3 B 0.1272 0.6985 0.3414
4 B 0.1272 0.8015 0.8414
5 B 0.1309 0.5558 0.4497
6 B 0.1309 0.9442 0.9497
7 B 0.2879 0.6291 0.4690
8 B 0.2879 0.8709 0.9690
9 B 0.2897 0.6399 0.9271
10 B 0.2897 0.8601 0.4271
11 B 0.2961 0.6279 0.6007
12 B 0.2961 0.8721 0.1007
13 B 0.3195 0.0084 0.5453
14 B 0.3195 0.4916 0.0453
15 B 0.3243 0.6344 0.1525
16 B 0.3243 0.8656 0.6525
17 B 0.4028 0.7088 0.0815
18 B 0.4028 0.7912 0.5815
19 B 0.5972 0.2088 0.4185
20 B 0.5972 0.2912 0.9185
21 B 0.6757 0.1344 0.3475
22 B 0.6757 0.3656 0.8475
23 B 0.6805 0.5084 0.9547
24 B 0.6805 0.9916 0.4547
25 B 0.7039 0.1279 0.8993
26 B 0.7039 0.3721 0.3993
27 B 0.7103 0.1399 0.5729
28 B 0.7103 0.3601 0.0729
29 B 0.7121 0.1291 0.0310
30 B 0.7121 0.3709 0.5310
31 B 0.8691 0.0558 0.0503
32 B 0.8691 0.4442 0.5503
33 B 0.8728 0.1985 0.1586
34 B 0.8728 0.3015 0.6586
35 B 0.9901 0.7323 0.3701
36 B 0.9901 0.7677 0.8701
37 H 0.0136 0.1276 0.5811
38 H 0.0136 0.3724 0.0811
39 H 0.0476 0.6607 0.8208
40 H 0.0476 0.8393 0.3208
41 H 0.0557 0.6372 0.4788
42 H 0.0557 0.8628 0.9788
43 H 0.0968 0.6341 0.2489
44 H 0.0968 0.8659 0.7489
45 H 0.1012 0.1069 0.9320
46 H 0.1012 0.3931 0.4320
47 H 0.1224 0.1666 0.2041
48 H 0.1224 0.3334 0.7041
49 H 0.2145 0.9995 0.4304
50 H 0.2145 0.5005 0.9304
51 H 0.2234 0.7413 0.6251
52 H 0.2234 0.7587 0.1251
53 H 0.2321 0.0003 0.5817
54 H 0.2321 0.4997 0.0817
55 H 0.3359 0.5833 0.8734
56 H 0.3359 0.9167 0.3734
57 H 0.3437 0.5071 0.4495
58 H 0.3437 0.9929 0.9495
59 H 0.3466 0.5097 0.6755
60 H 0.3466 0.9903 0.1755
61 H 0.3683 0.1621 0.5665
62 H 0.3683 0.3379 0.0665
63 H 0.3766 0.5852 0.2522
64 H 0.3766 0.9148 0.7522
65 H 0.4724 0.2243 0.3675
66 H 0.4724 0.2757 0.8675
67 H 0.5276 0.7243 0.1325
68 H 0.5276 0.7757 0.6325
69 H 0.6234 0.0852 0.2478
70 H 0.6234 0.4148 0.7478
71 H 0.6317 0.6621 0.9335
72 H 0.6317 0.8379 0.4335
73 H 0.6534 0.0097 0.8245
74 H 0.6534 0.4903 0.3245
75 H 0.6563 0.0071 0.0505
76 H 0.6563 0.4929 0.5505
77 H 0.6641 0.0833 0.6266
78 H 0.6641 0.4167 0.1266
79 H 0.7679 0.9997 0.4183
80 H 0.7679 0.5003 0.9183
81 H 0.7766 0.2413 0.8749
82 H 0.7766 0.2587 0.3749
83 H 0.7855 0.0005 0.5696
84 H 0.7855 0.4995 0.0696
85 H 0.8776 0.6666 0.2959
86 H 0.8776 0.8334 0.7959
87 H 0.8988 0.6069 0.5680
88 H 0.8988 0.8931 0.0680
89 H 0.9032 0.1341 0.2511
90 H 0.9032 0.3659 0.7511
91 H 0.9443 0.1372 0.0212
92 H 0.9443 0.3628 0.5212
93 H 0.9524 0.1607 0.6792
94 H 0.9524 0.3393 0.1792
95 H 0.9864 0.6276 0.9189
96 H 0.9864 0.8724 0.4189


No. 3
Computed, not measured: a geometry-optimized B3H5 structure at the PBE-GGA level of DFT.

Summary:
The value obtained for the polymorph energy (0 for the lowest one) is 0.027 eV per atom. The calculation puts the piezoelectric modulus e_max at 0.11 C/m2. The formation energy from the elements comes out at -0.146 eV/atom. The symmetry is Cmc2_1, No. 36.

a b c (Å): 6.1223 6.1223 8.8980
angles (deg): 90.00 90.00 101.86
Fractional coordinates of all 32 atoms:
1 B 0.1089 0.5249 0.5732
2 B 0.1994 0.8006 0.5000
3 B 0.2599 0.7401 0.6853
4 B 0.3216 0.4652 0.6843
5 B 0.4652 0.3216 0.1843
6 B 0.4751 0.8911 0.5732
7 B 0.5249 0.1089 0.0732
8 B 0.5348 0.6784 0.6843
9 B 0.6784 0.5348 0.1843
10 B 0.7401 0.2599 0.1853
11 B 0.8006 0.1994 0.0000
12 B 0.8911 0.4751 0.0732
13 H 0.0812 0.5707 0.0713
14 H 0.0813 0.9187 0.4554
15 H 0.1436 0.6091 0.4297
16 H 0.1805 0.8195 0.7892
17 H 0.2552 0.3931 0.5469
18 H 0.2668 0.3155 0.7714
19 H 0.3155 0.2668 0.2714
20 H 0.3909 0.8564 0.4297
21 H 0.3931 0.2552 0.0469
22 H 0.4293 0.9188 0.0713
23 H 0.5707 0.0812 0.5713
24 H 0.6069 0.7448 0.5469
25 H 0.6091 0.1436 0.9297
26 H 0.6845 0.7332 0.7714
27 H 0.7332 0.6845 0.2714
28 H 0.7448 0.6069 0.0469
29 H 0.8195 0.1805 0.2892
30 H 0.8564 0.3909 0.9297
31 H 0.9187 0.0813 0.9554
32 H 0.9188 0.4293 0.5713


No. 4
Computed, not measured: a geometry-optimized K3B12H12I structure at the PBE-GGA level of DFT.

Summary:
The formation energy from the elements comes out at -0.458 eV/atom. The symmetry is R-3m, No. 166.

a b c (Å): 7.0663 7.0663 7.0663
angles (deg): 93.83 93.83 93.83
Fractional coordinates of all 28 atoms:
1 K 0.0000 0.5000 0.5000
2 K 0.5000 0.0000 0.5000
3 K 0.5000 0.5000 0.0000
4 B 0.0608 0.0608 0.2328
5 B 0.0608 0.2328 0.0608
6 B 0.1209 0.1209 0.8420
7 B 0.1209 0.8420 0.1209
8 B 0.1580 0.8791 0.8791
9 B 0.2328 0.0608 0.0608
10 B 0.7672 0.9392 0.9392
11 B 0.8420 0.1209 0.1209
12 B 0.8791 0.1580 0.8791
13 B 0.8791 0.8791 0.1580
14 B 0.9392 0.7672 0.9392
15 B 0.9392 0.9392 0.7672
16 H 0.1044 0.1044 0.3983
17 H 0.1044 0.3983 0.1044
18 H 0.2077 0.2077 0.7302
19 H 0.2077 0.7302 0.2077
20 H 0.2698 0.7923 0.7923
21 H 0.3983 0.1044 0.1044
22 H 0.6017 0.8956 0.8956
23 H 0.7302 0.2077 0.2077
24 H 0.7923 0.2698 0.7923
25 H 0.7923 0.7923 0.2698
26 H 0.8956 0.6017 0.8956
27 H 0.8956 0.8956 0.6017
28 I 0.5000 0.5000 0.5000


No. 5
Computed, not measured: a geometry-optimized KInBP2HO9 structure at the PBE-GGA level of DFT.

Summary:
The formation energy from the elements comes out at -2.524 eV/atom. The symmetry is P-1, No. 2.

a b c (Å): 5.3519 8.3616 8.5359
angles (deg): 88.22 79.64 87.30
Fractional coordinates of all 30 atoms:
1 K 0.2192 0.3271 0.1170
2 K 0.7808 0.6729 0.8830
3 In 0.2249 0.8073 0.1993
4 In 0.7751 0.1927 0.8007
5 B 0.3965 0.7330 0.5573
6 B 0.6035 0.2670 0.4427
7 P 0.2825 0.9326 0.8114
8 P 0.3056 0.4232 0.6966
9 P 0.6944 0.5768 0.3034
10 P 0.7175 0.0674 0.1886
11 H 0.1162 0.8933 0.5174
12 H 0.8838 0.1067 0.4826
13 O 0.0244 0.9785 0.7581
14 O 0.0575 0.3702 0.7983
15 O 0.2259 0.8127 0.4560
16 O 0.2409 0.8040 0.9468
17 O 0.2508 0.6028 0.6499
18 O 0.3652 0.3247 0.5402
19 O 0.4140 0.0783 0.8557
20 O 0.4644 0.8503 0.6662
21 O 0.4718 0.5896 0.2111
22 O 0.5282 0.4104 0.7889
23 O 0.5356 0.1497 0.3338
24 O 0.5860 0.9217 0.1443
25 O 0.6348 0.6753 0.4598
26 O 0.7492 0.3972 0.3501
27 O 0.7591 0.1960 0.0532
28 O 0.7741 0.1873 0.5440
29 O 0.9425 0.6298 0.2017
30 O 0.9756 0.0215 0.2419


No. 6
Computed, not measured: a geometry-optimized InBP2H5NO9 structure at the PBE-GGA level of DFT.

Summary:
The formation energy from the elements comes out at -1.976 eV/atom. The symmetry is P-1, No. 2.

a b c (Å): 5.3761 8.5116 8.5839
angles (deg): 87.27 80.60 86.73
Fractional coordinates of all 38 atoms:
1 In 0.2230 0.3175 0.2071
2 In 0.7770 0.6825 0.7929
3 B 0.3929 0.2253 0.5636
4 B 0.6071 0.7747 0.4364
5 P 0.2801 0.4289 0.8108
6 P 0.3045 0.9160 0.6896
7 P 0.6955 0.0840 0.3104
8 P 0.7199 0.5711 0.1892
9 H 0.0801 0.3598 0.5318
10 H 0.1006 0.7769 0.0666
11 H 0.1435 0.9407 0.1608
12 H 0.3361 0.7797 0.1767
13 H 0.3544 0.8826 0.0021
14 H 0.6456 0.1174 0.9979
15 H 0.6639 0.2203 0.8233
16 H 0.8565 0.0593 0.8392
17 H 0.8994 0.2231 0.9334
18 H 0.9199 0.6402 0.4682
19 N 0.2335 0.8450 0.1018
20 N 0.7665 0.1550 0.8982
21 O 0.0338 0.4789 0.7447
22 O 0.0551 0.8618 0.7828
23 O 0.2172 0.3135 0.9559
24 O 0.2242 0.3101 0.4643
25 O 0.2515 0.0940 0.6489
26 O 0.3692 0.8260 0.5321
27 O 0.4235 0.5684 0.8465
28 O 0.4605 0.3316 0.6801
29 O 0.4774 0.1035 0.2136
30 O 0.5226 0.8965 0.7864
31 O 0.5395 0.6684 0.3199
32 O 0.5765 0.4316 0.1535
33 O 0.6308 0.1740 0.4679
34 O 0.7485 0.9060 0.3511
35 O 0.7758 0.6899 0.5357
36 O 0.7828 0.6865 0.0441
37 O 0.9449 0.1382 0.2172
38 O 0.9662 0.5211 0.2553